The following is a DFT calculation (PBE+U) of an optimized crystal structure of YMgCoW2O8.

abc: 5.360 6.038 6.250
angles: 107.43 92.20 116.00
Fractional coordinates of all 13 atoms:
Y1 0.000 0.000 0.000
Mg1 0.713 0.391 0.864
Co1 0.362 0.867 0.351
W1 0.231 0.449 0.642
W2 0.724 0.467 0.361
O1 0.442 0.228 0.538
O2 0.474 0.209 0.062
O3 0.497 0.661 0.451
O4 0.530 0.666 0.895
O5 0.954 0.252 0.336
O6 0.965 0.222 0.789
O7 0.983 0.695 0.176
O8 0.998 0.651 0.691

## Properties
formation energy from the elements: -2.414 eV/atom
distance to the lowest polymorph of the same formula: 0.000 eV/atom
raw total energy: -0.5430 Ry per atom
SG: No. 1